DFT (GGA-PBE) results for a relaxed structure of Sr3LaCu4O8. Values from VASP.

Geometry as Quantum ESPRESSO input:
```
&SYSTEM
  ibrav = 0, nat = 32, ntyp = 4
/
ATOMIC_SPECIES
Sr 87.62 Sr.upf
La 138.91 La.upf
Cu 63.55 Cu.upf
O 16.00 O.upf
CELL_PARAMETERS angstrom
3.6667 0.0000 0.0000
0.0000 11.0578 0.0000
0.0000 0.0000 11.1444
ATOMIC_POSITIONS angstrom
Sr 0.0000 0.0695 0.0000
Sr 0.0000 2.4137 8.1183
Sr 0.0000 5.4014 10.4408
Sr 0.0000 5.6564 4.8687
Sr 0.0000 8.6441 2.5462
Sr 0.0000 10.9883 5.5722
La 0.0000 3.1183 2.3183
La 0.0000 7.9395 7.8905
Cu 1.8333 0.3832 2.8546
Cu 1.8333 2.7344 5.2073
Cu 1.8333 2.7398 10.7836
Cu 1.8333 5.1073 7.6403
Cu 1.8333 5.9505 2.0681
Cu 1.8333 8.3180 5.2115
Cu 1.8333 8.3234 10.7795
Cu 1.8333 10.6746 8.4268
O 0.0000 0.7105 3.0119
O 0.0000 5.0389 7.4409
O 0.0000 6.0189 1.8687
O 0.0000 10.3473 8.5841
O 1.8333 1.1898 9.6672
O 1.8333 1.4909 6.5246
O 1.8333 1.6946 1.2751
O 1.8333 3.9263 9.2603
O 1.8333 3.9517 3.8327
O 1.8333 4.2578 0.8502
O 1.8333 6.8000 6.4224
O 1.8333 7.1061 9.4049
O 1.8333 7.1315 3.6881
O 1.8333 9.3632 6.8473
O 1.8333 9.5669 0.9524
O 1.8333 9.8680 4.0950
```

Output
* SG: Pmc2_1



DFT (GGA-PBE) results for a relaxed structure of Cs3BSe3O12. Values from VASP.

Geometry as Quantum ESPRESSO input:
```
&SYSTEM
  ibrav = 0, nat = 76, ntyp = 4
/
ATOMIC_SPECIES
Cs 132.91 Cs.upf
B 10.81 B.upf
Se 78.96 Se.upf
O 16.00 O.upf
CELL_PARAMETERS angstrom
11.6286 0.0000 0.0000
0.0000 8.2539 0.0000
-3.1640 0.0000 16.1205
ATOMIC_POSITIONS angstrom
Cs -1.0119 1.8529 7.2355
Cs -2.5939 2.2741 15.2958
Cs 3.6190 0.5676 3.1544
Cs 2.0370 3.5594 11.2146
Cs 1.3430 5.8538 15.1197
Cs 2.9250 6.5271 7.0595
Cs 5.5396 1.7268 9.0610
Cs 7.1216 2.4001 1.0007
Cs 6.4276 4.6946 4.9058
Cs 4.8456 7.6863 12.9661
Cs 11.0585 5.9799 0.8247
Cs 9.4765 6.4010 8.8849
B -0.6253 0.4218 12.3989
B 0.9567 3.7052 4.3387
B 7.5079 4.5487 11.7818
B 9.0899 7.8322 3.7216
Se -0.8874 5.8150 5.0266
Se -2.4694 6.5659 13.0868
Se 3.1134 4.6931 2.7109
Se 1.5313 7.6878 10.7711
Se 0.9728 1.4436 14.5918
Se 2.5548 2.6834 6.5316
Se 5.9098 5.5705 9.5889
Se 7.4918 6.8104 1.5287
Se 6.9333 0.5661 5.3494
Se 5.3512 3.5609 13.4096
Se 10.9340 1.6880 3.0337
Se 9.3520 2.4390 11.0939
O 0.3490 0.6472 2.3092
O -1.2330 3.4798 10.3695
O -1.5611 1.6085 12.4400
O 0.0209 2.5185 4.3798
O 0.2320 4.9778 3.9829
O -1.3500 7.4031 12.0432
O -1.7226 5.5128 14.0979
O -0.1406 6.8681 6.0377
O -0.1535 0.2773 13.7759
O 1.4285 3.8496 5.7157
O 0.3405 0.6749 11.3398
O 1.9226 3.4520 3.2796
O 2.3785 5.4110 1.4087
O 0.7965 6.9699 9.4690
O 2.0520 1.1503 6.1546
O 0.4700 2.9767 14.2148
O 3.8559 1.0178 0.0379
O 2.2739 3.1092 8.0982
O 3.4121 5.7350 3.9568
O 1.8301 6.6459 12.0171
O 2.8223 0.3747 10.3609
O 4.4043 3.7523 2.3007
O 2.4952 1.1098 14.0578
O 4.0772 3.0172 5.9976
O 4.3874 5.2368 10.1229
O 5.9694 7.1441 2.0626
O 4.0603 4.5017 13.8198
O 5.6423 7.8792 5.7596
O 6.6345 1.6081 4.1034
O 5.0525 2.5189 12.1636
O 6.1907 5.1448 8.0223
O 4.6087 7.2361 16.0825
O 7.9946 5.2772 1.9057
O 6.4126 7.1037 9.9659
O 7.6681 1.2841 6.6515
O 6.0861 2.8429 14.7118
O 6.5420 4.8019 12.8409
O 8.1241 7.5790 4.7807
O 7.0361 4.4043 10.4048
O 8.6181 7.9766 2.3446
O 8.6052 1.3858 10.0828
O 10.1872 2.7412 2.0225
O 9.8146 0.8509 4.0773
O 8.2326 3.2761 12.1375
O 8.4437 5.7355 11.7407
O 10.0257 6.6454 3.6805
O 9.6976 4.7742 5.7510
O 8.1156 7.6067 13.8112
```

Output
* SG: P2_1/c



DFT (GGA-PBE) results for a relaxed structure of Ho5Tl3. Values from VASP.

Geometry as Quantum ESPRESSO input:
```
&SYSTEM
  ibrav = 0, nat = 16, ntyp = 2
/
ATOMIC_SPECIES
Ho 164.93 Ho.upf
Tl 204.38 Tl.upf
CELL_PARAMETERS angstrom
-4.0051 4.0051 7.1804
4.0051 -4.0051 7.1804
4.0051 4.0051 -7.1804
ATOMIC_POSITIONS angstrom
Ho 0.0000 0.0000 0.0000
Ho 5.2928 1.2877 -2.1743
Ho 1.2877 2.7174 -2.1743
Ho 5.2928 1.2877 2.1743
Ho 1.2877 2.7174 2.1743
Ho 0.0000 0.0000 7.1804
Ho 2.7174 1.2877 5.0062
Ho -1.2877 2.7174 5.0062
Ho 2.7174 1.2877 9.3547
Ho -1.2877 2.7174 9.3547
Tl 2.9218 1.0833 0.0000
Tl 0.0000 0.0000 3.5902
Tl 2.9218 -1.0833 7.1804
Tl 1.0833 5.0884 0.0000
Tl 0.0000 0.0000 10.7706
Tl 1.0833 2.9218 7.1804
```

Output
* E above lowest polymorph: 20 meV/atom
* SG: I4/mcm



DFT (GGA-PBE) results for a relaxed structure of CsPdF3. Values from VASP.

Geometry as Quantum ESPRESSO input:
```
&SYSTEM
  ibrav = 0, nat = 5, ntyp = 3
/
ATOMIC_SPECIES
Cs 132.91 Cs.upf
Pd 106.42 Pd.upf
F 19.00 F.upf
CELL_PARAMETERS angstrom
4.4143 0.0000 0.0000
0.0000 4.4143 0.0000
0.0000 0.0000 4.4143
ATOMIC_POSITIONS angstrom
Cs 0.0000 0.0000 0.0000
Pd 2.2071 2.2071 2.2071
F 0.0000 2.2071 2.2071
F 2.2071 0.0000 2.2071
F 2.2071 2.2071 0.0000
```

Output
* SG: Pm-3m



DFT (GGA-PBE) results for a relaxed structure of Sr3Cu3P4O16. Values from VASP.

Geometry as Quantum ESPRESSO input:
```
&SYSTEM
  ibrav = 0, nat = 52, ntyp = 4
/
ATOMIC_SPECIES
Sr 87.62 Sr.upf
Cu 63.55 Cu.upf
P 30.97 P.upf
O 16.00 O.upf
CELL_PARAMETERS angstrom
9.3567 0.0000 0.0000
0.0000 5.0175 0.0000
-8.6020 0.0000 15.1759
ATOMIC_POSITIONS angstrom
Sr 0.0000 0.0000 0.0000
Sr -4.3010 2.5087 7.5880
Sr 0.5915 0.1746 4.0055
Sr -3.7094 2.3341 11.5935
Sr 4.4642 2.6833 3.5824
Sr 0.1632 4.8429 11.1704
Cu -1.3312 2.6915 5.7515
Cu -5.6322 4.8347 13.3394
Cu 0.3774 0.0000 7.5880
Cu 4.6783 2.5087 0.0000
Cu 6.3869 0.1827 1.8365
Cu 2.0859 2.3260 9.4245
P -1.0934 2.6122 2.4748
P -5.3944 4.9140 10.0628
P -0.9509 2.5583 8.9196
P 3.3500 4.9679 1.3317
P -2.5953 0.0495 13.8443
P 1.7057 2.4592 6.2563
P 6.1491 0.1034 5.1132
P 1.8481 2.4053 12.7011
O -5.3209 3.3894 9.7640
O -1.0199 4.1368 2.1760
O -4.3703 0.6832 9.2419
O -0.0693 1.8255 1.6539
O -6.0420 2.8896 12.9084
O -1.7410 4.6366 5.3204
O -4.9291 0.1027 11.5613
O -0.6281 2.4060 3.9733
O -1.8184 2.8114 7.6596
O 2.4826 4.7148 0.0716
O -3.8971 0.9617 13.9387
O 0.4039 1.5470 6.3507
O -1.7090 2.9373 10.1921
O 2.5920 4.5889 2.6042
O -0.4675 1.0741 9.0122
O 3.8335 1.4346 1.4242
O -3.0788 3.5828 13.7517
O 1.2222 3.9434 6.1637
O -1.8373 0.4286 12.5718
O 2.4637 2.0801 4.9838
O 0.3508 3.4705 8.8253
O 4.6518 4.0557 1.2373
O -1.7279 0.3026 15.1044
O 2.5731 2.2061 7.5164
O 1.3828 2.6115 11.2026
O 5.6838 4.9147 3.6146
O 2.4957 0.3808 9.8555
O 6.7967 2.1279 2.2675
O 0.8241 3.1920 13.5221
O 5.1250 4.3342 5.9341
O 1.7746 0.8806 12.9999
O 6.0756 1.6281 5.4120
```

Output
* SG: P2_1/c



DFT (GGA-PBE) results for a relaxed structure of LuSBr. Values from VASP.

Geometry as Quantum ESPRESSO input:
```
&SYSTEM
  ibrav = 0, nat = 6, ntyp = 3
/
ATOMIC_SPECIES
Lu 174.97 Lu.upf
S 32.06 S.upf
Br 79.90 Br.upf
CELL_PARAMETERS angstrom
3.9765 0.0000 0.0000
0.0000 5.6354 0.0000
0.0000 0.0000 8.3478
ATOMIC_POSITIONS angstrom
Lu 0.9941 1.4088 1.5909
Lu 2.9824 4.2265 6.7569
S 0.9941 4.2265 5.3270
S 2.9824 1.4088 3.0208
Br 0.9941 4.2265 0.7899
Br 2.9824 1.4088 7.5579
```

Output
* E above lowest polymorph: 401 meV/atom
* SG: Pmmn



DFT (GGA-PBE) results for a relaxed structure of CaSnBiO5. Values from VASP.

Geometry as Quantum ESPRESSO input:
```
&SYSTEM
  ibrav = 0, nat = 32, ntyp = 4
/
ATOMIC_SPECIES
Ca 40.08 Ca.upf
Sn 118.71 Sn.upf
Bi 208.98 Bi.upf
O 16.00 O.upf
CELL_PARAMETERS angstrom
5.9256 0.0000 0.0000
0.0000 11.1499 0.0000
-2.7975 0.0000 8.5224
ATOMIC_POSITIONS angstrom
Ca -0.2800 1.0726 1.4365
Ca -1.6787 4.5023 5.6977
Ca 4.8069 6.6476 2.8247
Ca 3.4081 10.0773 7.0859
Sn 2.0843 6.8549 0.5175
Sn 0.6856 9.8700 4.7787
Sn 2.4426 1.2799 3.7438
Sn 1.0438 4.2950 8.0050
Bi 0.4043 1.1331 7.2518
Bi 1.8031 4.4418 2.9906
Bi 1.3251 6.7081 5.5319
Bi 2.7239 10.0168 1.2707
O 0.6992 5.8989 1.5932
O -0.6995 10.8260 5.8544
O -0.0976 8.0588 4.3259
O 1.3011 8.6661 0.0647
O 1.6285 0.4159 0.1084
O 0.2298 5.1591 4.3696
O 1.0134 2.3709 2.7684
O -0.3853 3.2040 7.0296
O -0.2317 6.0051 7.2560
O 1.1670 10.7198 2.9948
O 1.9612 0.4301 5.5277
O 3.3599 5.1448 1.2664
O 3.5135 7.9459 1.4928
O 2.1148 8.7790 5.7540
O 2.8984 5.9908 4.1529
O 1.4997 10.7340 8.4141
O 1.8270 2.4838 8.4577
O 3.2258 3.0911 4.1965
O 3.8277 0.3239 2.6680
O 2.4290 5.2510 6.9292
```

Output
* E above lowest polymorph: 7 meV/atom
* SG: P2_1/c



DFT (GGA-PBE) results for a relaxed structure of SiO2. Values from VASP.

Geometry as Quantum ESPRESSO input:
```
&SYSTEM
  ibrav = 0, nat = 168, ntyp = 2
/
ATOMIC_SPECIES
Si 28.09 Si.upf
O 16.00 O.upf
CELL_PARAMETERS angstrom
4.2447 -12.5305 0.0000
4.2447 12.5305 0.0000
0.0000 0.0000 29.2068
ATOMIC_POSITIONS angstrom
Si 1.5539 4.3990 11.5089
Si 1.5349 3.5790 5.8516
Si 2.6506 6.7521 13.1512
Si 1.5797 2.8104 27.8652
Si 2.6506 5.7784 27.7545
Si 1.5783 1.9531 1.4896
Si 2.6908 4.3990 3.0945
Si 1.5536 0.5781 17.7069
Si 1.5357 0.3480 5.8500
Si 2.7099 3.5790 8.7518
Si 1.5357 -0.3480 23.3568
Si 2.6650 2.8104 15.9449
Si 1.5536 -0.5781 11.4998
Si 2.6664 1.9531 13.1138
Si 1.5783 -1.9531 27.7172
Si 2.6911 0.5781 26.1032
Si 1.5797 -2.8105 1.3415
Si 2.7091 0.3480 8.7534
Si 1.5349 -3.5790 23.3552
Si 2.7091 -0.3480 20.4534
Si 2.6911 -0.5781 3.1035
Si 1.5539 -4.3990 17.6978
Si 2.6664 -1.9531 16.0930
Si 5.8389 6.7521 13.1512
Si 2.6650 -2.8105 13.2619
Si 5.8389 5.7784 27.7545
Si 2.7099 -3.5790 20.4550
Si 2.6908 -4.3990 26.1123
Si 5.7987 4.3990 3.0945
Si 5.7796 3.5790 8.7518
Si 2.6506 -5.7784 1.4522
Si 5.8244 2.8105 15.9449
Si 2.6506 -6.7521 16.0556
Si 5.8230 1.9531 13.1138
Si 6.9355 4.3990 11.5089
Si 5.7983 0.5781 26.1032
Si 5.7804 0.3480 8.7534
Si 6.9546 3.5790 5.8516
Si 5.7804 -0.3480 20.4534
Si 6.9098 2.8105 27.8652
Si 5.7983 -0.5781 3.1035
Si 6.9112 1.9531 1.4896
Si 5.8230 -1.9531 16.0930
Si 6.9359 0.5781 17.7069
Si 5.8244 -2.8104 13.2619
Si 6.9538 0.3480 5.8500
Si 5.7796 -3.5790 20.4550
Si 6.9538 -0.3480 23.3568
Si 6.9359 -0.5781 11.4998
Si 5.7987 -4.3990 26.1123
Si 6.9112 -1.9531 27.7172
Si 5.8389 -5.7784 1.4522
Si 6.9098 -2.8104 1.3415
Si 5.8389 -6.7521 16.0556
Si 6.9546 -3.5790 23.3552
Si 6.9355 -4.3990 17.6978
O 2.1224 6.2653 0.0000
O 2.1224 6.2653 14.6034
O 4.2447 12.3599 5.7142
O 2.3563 6.6160 17.2255
O 4.2447 11.5600 11.7421
O 1.8044 4.2685 9.9059
O 2.3563 5.9145 2.6222
O 1.9062 4.2007 16.2627
O 4.2447 10.9507 27.8500
O 1.7260 3.3548 2.3001
O 2.1224 4.0098 7.3017
O 1.5840 1.9650 5.6862
O 2.3385 4.2007 27.5475
O 2.4403 4.2685 4.6974
O 4.2447 9.4222 1.0823
O 1.7455 1.7990 26.6104
O 2.0246 2.1225 14.6042
O 4.2447 8.4824 17.3633
O 2.5188 3.3548 12.3033
O 4.2447 8.4297 23.4922
O 2.2201 2.1225 29.2059
O 1.9011 0.7748 12.3329
O 1.8094 0.3346 19.2946
O 2.4993 1.7990 17.1997
O 1.8094 -0.3346 9.9121
O 2.6607 1.9650 8.9172
O 4.2447 6.4978 13.0353
O 2.3437 0.7748 2.2704
O 2.1224 0.0820 21.9051
O 2.1224 -0.0820 7.3017
O 1.9011 -0.7748 16.8738
O 4.2447 6.0327 27.6387
O 1.5840 -1.9650 23.5206
O 2.4353 0.3346 24.5155
O 1.7455 -1.7990 2.5964
O 2.4353 -0.3346 4.6912
O 2.3437 -0.7748 26.9363
O 2.0246 -2.1225 14.6025
O 4.2447 4.1008 8.8888
O 1.7260 -3.3548 26.9066
O 4.2447 4.0481 2.7600
O 2.2201 -2.1225 0.0008
O 2.4993 -1.7990 12.0070
O 4.2447 3.1083 15.6857
O 1.8044 -4.2685 19.3008
O 1.9062 -4.2006 12.9441
O 2.6607 -1.9650 20.2896
O 2.1224 -4.0098 21.9051
O 2.5188 -3.3548 16.9035
O 4.2447 1.5798 13.2466
O 2.3385 -4.2006 1.6593
O 2.4403 -4.2685 24.5093
O 6.1331 6.6160 17.2255
O 4.2447 0.9706 26.3455
O 6.1331 5.9145 2.6222
O 4.2447 0.1707 20.3176
O 2.1224 -6.2653 0.0000
O 2.1224 -6.2653 14.6034
O 4.2447 -0.1707 8.8892
O 2.3563 -5.9145 26.5846
O 4.2447 -0.9706 2.8613
O 2.3563 -6.6160 11.9812
O 6.0492 4.2685 4.6974
O 6.1509 4.2006 27.5475
O 4.2447 -1.5798 15.9601
O 5.9707 3.3548 12.3033
O 6.3671 4.0098 7.3017
O 5.8288 1.9650 8.9172
O 6.5833 4.2006 16.2627
O 6.6850 4.2685 9.9059
O 4.2447 -3.1083 13.5210
O 5.9902 1.7990 17.1997
O 6.2694 2.1225 29.2059
O 4.2447 -4.0481 26.4468
O 6.7635 3.3548 2.3001
O 4.2447 -4.1008 20.3180
O 6.4648 2.1225 14.6042
O 6.1458 0.7748 2.2704
O 6.0542 0.3346 24.5155
O 6.7440 1.7990 26.6104
O 6.0542 -0.3346 4.6912
O 6.9054 1.9650 5.6862
O 4.2447 -6.0327 1.5681
O 6.5884 0.7748 12.3329
O 6.3671 0.0820 21.9051
O 6.3671 -0.0820 7.3017
O 6.1458 -0.7748 26.9363
O 4.2447 -6.4978 16.1714
O 5.8288 -1.9650 20.2896
O 6.6800 0.3346 19.2946
O 5.9902 -1.7990 12.0070
O 6.6800 -0.3346 9.9121
O 6.5884 -0.7748 16.8738
O 6.2694 -2.1225 0.0008
O 4.2447 -8.4297 5.7146
O 5.9707 -3.3548 16.9035
O 4.2447 -8.4824 11.8434
O 6.4648 -2.1225 14.6025
O 6.7440 -1.7990 2.5964
O 4.2447 -9.4222 28.1244
O 6.0492 -4.2685 24.5093
O 6.1509 -4.2007 1.6593
O 6.9054 -1.9650 23.5206
O 6.3671 -4.0098 21.9051
O 6.7635 -3.3548 26.9066
O 4.2447 -10.9507 1.3567
O 6.5833 -4.2007 12.9441
O 6.1331 -5.9145 26.5846
O 6.6850 -4.2685 19.3008
O 4.2447 -11.5600 17.4647
O 6.1331 -6.6160 11.9812
O 4.2447 -12.3599 23.4925
```

Output
* SG: Cmce



In the order shown, the computed volume values come out to 14.1 20.4 28.8 17.2 13.7 31.2 17.6 18.5 A^3/atom.
In the order shown, the computed energy of formation from the pure elements values come out to -2203 -1721 -277 -2100 -2630 -1956 -2126 -3253 meV per atom.